Below is a relaxed CaFeSnP3O12 crystal, with properties calculated at the r2SCAN level.

a = 8.863 Å, b = 8.863 Å, c = 8.863 Å
α = 58.27°, β = 58.27°, γ = 58.27°
Atoms (fractional coordinates):
1 Ca 0.000 0.000 0.000
2 Ca 0.500 0.500 0.500
3 Fe 0.144 0.144 0.144
4 Fe 0.644 0.644 0.644
5 Sn 0.350 0.350 0.350
6 Sn 0.850 0.850 0.850
7 P 0.038 0.747 0.453
8 P 0.247 0.538 0.953
9 P 0.453 0.038 0.747
10 P 0.538 0.953 0.247
11 P 0.747 0.453 0.038
12 P 0.953 0.247 0.538
13 O 0.014 0.787 0.614
14 O 0.058 0.915 0.269
15 O 0.080 0.729 0.932
16 O 0.114 0.287 0.514
17 O 0.196 0.379 0.993
18 O 0.229 0.580 0.432
19 O 0.269 0.058 0.915
20 O 0.287 0.514 0.114
21 O 0.379 0.993 0.196
22 O 0.415 0.558 0.769
23 O 0.432 0.229 0.580
24 O 0.493 0.879 0.696
25 O 0.514 0.114 0.287
26 O 0.558 0.769 0.415
27 O 0.580 0.432 0.229
28 O 0.614 0.014 0.787
29 O 0.696 0.493 0.879
30 O 0.729 0.932 0.080
31 O 0.769 0.415 0.558
32 O 0.787 0.614 0.014
33 O 0.879 0.696 0.493
34 O 0.915 0.269 0.058
35 O 0.932 0.080 0.729
36 O 0.993 0.196 0.379

The calculation puts the total energy at -10.48 eV/atom. Its formation energy from the elements is -43.79 eV/f.u. Its space-group type is R3c, No. 161.